Entry 1:
{"formula": "TbBiPd2", "functional": "GGA-PBE", "state": "relaxed", "final_energy_ev_per_atom": -5.46, "magmom_total_mub_per_cell": 0.00, "mass_density_kg_m3": 11416, "spacegroup": "Fm-3m (225)", "formation_energy_ev_per_atom": -0.744, "cell": [[0.000, 3.483, 3.483], [3.483, 0.000, 3.483], [3.483, 3.483, 0.000]], "species": ["Tb", "Bi", "Pd", "Pd"], "fractional_positions": [[0.000, 0.000, 0.000], [0.500, 0.500, 0.500], [0.250, 0.250, 0.250], [0.750, 0.750, 0.750]]}

Entry 2:
{"formula": "Nb4FeC2S4", "functional": "GGA-PBE", "state": "relaxed", "final_energy_ev_per_atom": -8.38, "magmom_total_mub_per_cell": 2.95, "mass_density_kg_m3": 5872, "spacegroup": "P2/m (10)", "energy_mp2020_ha_per_atom": -0.315, "formation_energy_ev_per_atom": -0.942, "cell": [[5.743, 0.000, 0.000], [0.000, 3.319, 0.000], [-1.856, 0.000, 8.601]], "species": ["Nb", "Nb", "Nb", "Nb", "Fe", "C", "C", "S", "S", "S", "S"], "fractional_positions": [[0.119, 0.000, 0.367], [0.374, 0.500, 0.635], [0.626, 0.500, 0.365], [0.881, 0.000, 0.633], [0.000, 0.000, 0.000], [0.000, 0.500, 0.500], [0.500, 0.000, 0.500], [0.227, 0.500, 0.168], [0.276, 0.000, 0.830], [0.724, 0.000, 0.170], [0.773, 0.500, 0.832]]}

Entry 3:
{"formula": "InPt3", "functional": "GGA-PBE", "state": "relaxed", "final_energy_ev_per_atom": -5.60, "mass_density_kg_m3": 17445, "spacegroup": "Pm-3m (221)", "formation_energy_ev_per_atom": -0.354, "cell": [[4.054, 0.000, 0.000], [0.000, 4.054, 0.000], [0.000, 0.000, 4.054]], "species": ["In", "Pt", "Pt", "Pt"], "fractional_positions": [[0.000, 0.000, 0.000], [0.000, 0.500, 0.500], [0.500, 0.000, 0.500], [0.500, 0.500, 0.000]]}